Record 1
Density functional theory data (PBE) for a relaxed In3Cu crystal.

abc: 4.4828 4.4828 4.4828
angles: 90.00 90.00 90.00
Closest atoms and distances in Å follow each position.
Fractional positions:
In 0.0000 0.5000 0.5000  8 In 3.17, 4 Cu 3.17
In 0.5000 0.0000 0.5000  8 In 3.17, 4 Cu 3.17
In 0.5000 0.5000 0.0000  8 In 3.17, 4 Cu 3.17
Cu 0.0000 0.0000 0.0000  12 In 3.17

mass density: 7.521 g/cm³
crystal system: cubic

---

Record 2
Density functional theory data (PBE) for a relaxed In7Cu10 crystal.

abc: 9.2008 9.2008 6.7819
angles: 89.21 89.21 81.24
Closest atoms and distances in Å follow each position.
Fractional positions:
In 0.1200 0.5685 0.6130  6 Cu 2.63-2.93
In 0.5348 0.5348 0.7160  8 Cu 2.68-2.84
In 0.8426 0.2948 0.8016  7 Cu 2.64-2.90
In 0.8800 0.4315 0.3870  6 Cu 2.63-2.93
In 0.2369 0.2369 0.9332  8 Cu 2.68-2.81
In 0.7052 0.1574 0.1984  7 Cu 2.64-2.90
In 0.1665 0.1665 0.5028  8 Cu 2.68-2.86
In 0.1574 0.7052 0.1984  7 Cu 2.64-2.90
In 0.4315 0.8800 0.3870  6 Cu 2.63-2.93
In 0.8335 0.8335 0.4972  8 Cu 2.68-2.86
In 0.2948 0.8426 0.8016  7 Cu 2.64-2.90
In 0.4652 0.4652 0.2840  8 Cu 2.68-2.84
In 0.7631 0.7631 0.0668  8 Cu 2.68-2.81
In 0.5685 0.1200 0.6130  6 Cu 2.63-2.93
Cu 0.2182 0.9959 0.1528  6 Cu 2.55-2.78, 4 In 2.63-2.83
Cu 0.7076 0.4811 0.0609  5 In 2.64-2.84, 5 Cu 2.71-2.78
Cu 0.1112 0.8888 0.5000  4 In 2.66-2.68, 5 Cu 2.67-2.77
Cu 0.8175 0.5918 0.7255  5 Cu 2.57-2.77, 6 In 2.71-2.85
Cu 0.7818 0.0041 0.8472  6 Cu 2.55-2.78, 4 In 2.63-2.83
Cu 0.4811 0.7076 0.0609  5 In 2.64-2.84, 5 Cu 2.71-2.78
Cu 0.4082 0.1825 0.2745  5 Cu 2.57-2.77, 6 In 2.71-2.85
Cu 0.8888 0.1112 0.5000  4 In 2.66-2.68, 5 Cu 2.67-2.77
Cu 0.2924 0.5189 0.9391  5 In 2.64-2.84, 5 Cu 2.71-2.78
Cu 0.0041 0.7818 0.8472  6 Cu 2.55-2.78, 4 In 2.63-2.83
Cu 0.1825 0.4082 0.2745  5 Cu 2.57-2.77, 6 In 2.71-2.85
Cu 0.9512 0.9512 0.1667  7 Cu 2.55-2.72, 4 In 2.73-2.76
Cu 0.0000 0.5000 0.0000  6 Cu 2.57-2.78
Cu 0.6487 0.6487 0.3924  6 In 2.68-2.70, 4 Cu 2.75-2.76
Cu 0.5918 0.8175 0.7255  5 Cu 2.57-2.77, 6 In 2.71-2.85
Cu 0.9959 0.2182 0.1528  6 Cu 2.55-2.78, 4 In 2.63-2.83
Cu 0.5189 0.2924 0.9391  5 In 2.64-2.84, 5 Cu 2.71-2.78
Cu 0.0488 0.0488 0.8333  7 Cu 2.55-2.72, 4 In 2.73-2.76
Cu 0.5000 0.0000 0.0000  6 Cu 2.57-2.78
Cu 0.3513 0.3513 0.6076  6 In 2.68-2.70, 4 Cu 2.75-2.76

mass density: 8.425 g/cm³
crystal system: monoclinic

---

Record 3
Density functional theory data (PBE) for a relaxed In2Cu crystal.

abc: 4.6914 4.6914 6.9019
angles: 90.00 90.00 120.00
Closest atoms and distances in Å follow each position.
Fractional positions:
In 0.3333 0.6667 0.7500  3 Cu 2.71
In 0.6667 0.3333 0.2500  3 Cu 2.71
In 0.0000 0.0000 0.5000  8 In 3.21-3.45, 6 Cu 3.21
In 0.0000 0.0000 0.0000  8 In 3.21-3.45, 6 Cu 3.21
Cu 0.3333 0.6667 0.2500  3 In 2.71
Cu 0.6667 0.3333 0.7500  3 In 2.71

mass density: 7.401 g/cm³
crystal system: hexagonal

---

Record 4
Density functional theory data (PBE) for a relaxed InCu4 crystal.

abc: 3.0599 3.0599 7.6981
angles: 101.40 101.40 90.29
Closest atoms and distances in Å follow each position.
Fractional positions:
In 0.0000 0.0000 0.0000  10 Cu 2.78-3.05, 4 In 3.06
Cu 0.6190 0.6190 0.2380  5 Cu 2.51-2.58, 4 In 2.78-2.79
Cu 0.2063 0.2063 0.4127  9 Cu 2.51-2.58
Cu 0.7937 0.7937 0.5873  9 Cu 2.51-2.58
Cu 0.3810 0.3810 0.7620  5 Cu 2.51-2.58, 4 In 2.78-2.79

mass density: 8.856 g/cm³
crystal system: orthorhombic

---

Record 5
Density functional theory data (PBE) for a relaxed In9Cu11 crystal.

abc: 4.5422 6.8459 12.1271
angles: 102.89 79.21 109.37
Closest atoms and distances in Å follow each position.
Fractional positions:
In 0.1256 0.7383 0.4872  9 Cu 2.70-2.84
In 0.6161 0.2382 0.0060  8 Cu 2.73-2.95
In 0.3744 0.7617 0.0128  9 Cu 2.70-2.84
In 0.8839 0.2618 0.4940  8 Cu 2.73-2.95
In 0.5788 0.4295 0.2720  6 Cu 2.60-2.92
In 0.0729 0.9144 0.7686  6 Cu 2.66-2.96
In 0.9212 0.0705 0.2280  6 Cu 2.60-2.92
In 0.4271 0.5856 0.7314  6 Cu 2.66-2.96
In 0.7500 0.2500 0.7500  6 Cu 2.62-2.83
Cu 0.7746 0.6641 0.1150  5 In 2.60-2.83, 6 Cu 2.61-2.83
Cu 0.2755 0.1590 0.6079  4 Cu 2.64-2.85, 7 In 2.69-2.89
Cu 0.7254 0.8359 0.3850  5 In 2.60-2.83, 6 Cu 2.61-2.83
Cu 0.2245 0.3410 0.8921  4 Cu 2.64-2.85, 7 In 2.69-2.89
Cu 0.0006 0.0014 0.0002  4 Cu 2.64-2.77, 6 In 2.67-2.77
Cu 0.4994 0.4986 0.4998  4 Cu 2.64-2.77, 6 In 2.67-2.77
Cu 0.2500 0.7500 0.2500  6 Cu 2.50-2.78
Cu 0.3563 0.0958 0.3832  3 Cu 2.50-2.73, 4 In 2.72-2.80
Cu 0.8581 0.6088 0.8926  4 Cu 2.61-2.85, 4 In 2.62-2.77
Cu 0.1437 0.4042 0.1168  3 Cu 2.50-2.73, 4 In 2.72-2.80
Cu 0.6419 0.8912 0.6074  4 Cu 2.61-2.85, 4 In 2.62-2.77

ΔE to the lowest computed polymorph: 9.8 meV/atom
mass density: 8.359 g/cm³
crystal system: monoclinic

---

Record 6
Density functional theory data (PBE) for a relaxed InCu3 crystal.

abc: 5.5088 5.5088 4.3553
angles: 90.00 90.00 120.00
Closest atoms and distances in Å follow each position.
Fractional positions:
In 0.6667 0.3333 0.2500  12 Cu 2.75-2.76
In 0.3333 0.6667 0.7500  12 Cu 2.75-2.76
Cu 0.8428 0.1572 0.7500  6 Cu 2.60-2.64, 4 In 2.75-2.76
Cu 0.3144 0.1572 0.7500  6 Cu 2.60-2.64, 4 In 2.75-2.76
Cu 0.8428 0.6856 0.7500  6 Cu 2.60-2.64, 4 In 2.75-2.76
Cu 0.1572 0.8428 0.2500  6 Cu 2.60-2.64, 4 In 2.75-2.76
Cu 0.6856 0.8428 0.2500  6 Cu 2.60-2.64, 4 In 2.75-2.76
Cu 0.1572 0.3144 0.2500  6 Cu 2.60-2.64, 4 In 2.75-2.76

mass density: 8.863 g/cm³
crystal system: hexagonal

---

Record 7
Density functional theory data (PBE) for a relaxed In2Cu crystal.

abc: 5.6858 5.6858 5.6858
angles: 101.61 101.61 126.70
Closest atoms and distances in Å follow each position.
Fractional positions:
In 0.1529 0.6529 0.8057  2 Cu 2.73
In 0.8471 0.3471 0.1943  2 Cu 2.73
In 0.3471 0.1529 0.5000  2 Cu 2.73
In 0.6529 0.8471 0.5000  2 Cu 2.73
Cu 0.0000 0.0000 0.0000  2 Cu 2.55, 4 In 2.73
Cu 0.5000 0.5000 0.0000  2 Cu 2.55, 4 In 2.73

mass density: 7.392 g/cm³
crystal system: tetragonal

---

Record 8
Density functional theory data (PBE) for a relaxed K2In3CuSe6 crystal.

abc: 8.2499 8.2499 21.7228
angles: 84.60 84.60 90.02
Closest atoms and distances in Å follow each position.
Fractional positions:
K 0.7625 0.3948 0.4168  6 Se 3.36-3.54
K 0.6052 0.2375 0.0832  6 Se 3.36-3.54
K 0.2375 0.6052 0.5832  6 Se 3.36-3.54
K 0.3948 0.7625 0.9168  6 Se 3.36-3.54
K 0.7800 0.8961 0.4169  6 Se 3.36-3.53
K 0.1039 0.2200 0.0831  6 Se 3.36-3.53
K 0.2200 0.1039 0.5831  6 Se 3.36-3.53
K 0.8961 0.7800 0.9169  6 Se 3.36-3.53
In 0.2792 0.1540 0.3850  4 Se 2.62
In 0.8460 0.7208 0.1150  4 Se 2.62
In 0.7208 0.8460 0.6150  4 Se 2.62
In 0.1540 0.2792 0.8850  4 Se 2.62
In 0.3462 0.7217 0.1152  4 Se 2.62-2.63
In 0.2783 0.6538 0.3848  4 Se 2.62-2.63
In 0.6538 0.2783 0.8848  4 Se 2.62-2.63
In 0.7217 0.3462 0.6152  4 Se 2.62-2.63
In 0.5611 0.4389 0.2500  4 Se 2.63-2.65
In 0.4389 0.5611 0.7500  4 Se 2.63-2.65
In 0.0635 0.9365 0.2500  4 Se 2.63-2.65
In 0.9365 0.0635 0.7500  4 Se 2.63-2.65
Cu 0.0632 0.4382 0.2500  4 Se 2.46-2.48
Cu 0.5618 0.9368 0.2500  4 Se 2.46-2.48
Cu 0.9368 0.5618 0.7500  4 Se 2.46-2.48
Cu 0.4382 0.0632 0.7500  4 Se 2.46-2.48
Se 0.1827 0.0270 0.8197  1 Cu 2.48, 2 In 2.62-2.65
Se 0.9730 0.8173 0.6803  1 Cu 2.48, 2 In 2.62-2.65
Se 0.8173 0.9730 0.1803  1 Cu 2.48, 2 In 2.62-2.65
Se 0.0270 0.1827 0.3197  1 Cu 2.48, 2 In 2.62-2.65
Se 0.1578 0.5637 0.8197  1 Cu 2.48, 2 In 2.62-2.65
Se 0.4363 0.8422 0.6803  1 Cu 2.48, 2 In 2.62-2.65
Se 0.8422 0.4363 0.1803  1 Cu 2.48, 2 In 2.62-2.65
Se 0.5637 0.1578 0.3197  1 Cu 2.48, 2 In 2.62-2.65
Se 0.9739 0.3431 0.6807  1 Cu 2.46, 2 In 2.63
Se 0.6569 0.0261 0.8193  1 Cu 2.46, 2 In 2.63
Se 0.0261 0.6569 0.3193  1 Cu 2.46, 2 In 2.63
Se 0.3431 0.9739 0.1807  1 Cu 2.46, 2 In 2.63
Se 0.8850 0.2660 0.9598  2 In 2.62
Se 0.7340 0.1150 0.5402  2 In 2.62
Se 0.1150 0.7340 0.0402  2 In 2.62
Se 0.2660 0.8850 0.4598  2 In 2.62
Se 0.4365 0.3163 0.6806  1 Cu 2.46, 2 In 2.63
Se 0.6837 0.5635 0.8194  1 Cu 2.46, 2 In 2.63
Se 0.5635 0.6837 0.3194  1 Cu 2.46, 2 In 2.63
Se 0.3163 0.4365 0.1806  1 Cu 2.46, 2 In 2.63
Se 0.3855 0.2536 0.9600  2 In 2.62
Se 0.7464 0.6145 0.5400  2 In 2.62
Se 0.6145 0.7464 0.0400  2 In 2.62
Se 0.2536 0.3855 0.4600  2 In 2.62

mass density: 4.351 g/cm³
crystal system: monoclinic

---

Record 9
Density functional theory data (PBE) for a relaxed LaIn2Cu9 crystal.

abc: 8.5186 8.5186 5.0465
angles: 90.00 90.00 90.00
Closest atoms and distances in Å follow each position.
Fractional positions:
La 0.0000 0.0000 0.0000  16 Cu 3.13-3.38, 4 In 3.38
La 0.5000 0.5000 0.0000  16 Cu 3.13-3.38, 4 In 3.38
In 0.1225 0.6225 0.0000  12 Cu 2.72-2.95, 1 In 2.95
In 0.8775 0.3775 0.0000  12 Cu 2.72-2.95, 1 In 2.95
In 0.6225 0.8775 0.0000  12 Cu 2.72-2.95, 1 In 2.95
In 0.3775 0.1225 0.0000  12 Cu 2.72-2.95, 1 In 2.95
Cu 0.5000 0.0000 0.5000  8 Cu 2.48-2.55
Cu 0.0000 0.5000 0.5000  8 Cu 2.48-2.55
Cu 0.2076 0.0643 0.5000  8 Cu 2.55-2.75
Cu 0.7924 0.9357 0.5000  8 Cu 2.55-2.75
Cu 0.0643 0.7924 0.5000  8 Cu 2.55-2.75
Cu 0.7076 0.4357 0.5000  8 Cu 2.55-2.75
Cu 0.9357 0.2076 0.5000  8 Cu 2.55-2.75
Cu 0.2924 0.5643 0.5000  8 Cu 2.55-2.75
Cu 0.5643 0.7076 0.5000  8 Cu 2.55-2.75
Cu 0.4357 0.2924 0.5000  8 Cu 2.55-2.75
Cu 0.6766 0.1766 0.2466  7 Cu 2.48-2.61, 1 In 2.72
Cu 0.3234 0.8234 0.7534  7 Cu 2.48-2.61, 1 In 2.72
Cu 0.3234 0.8234 0.2466  7 Cu 2.48-2.61, 1 In 2.72
Cu 0.1766 0.3234 0.2466  7 Cu 2.48-2.61, 1 In 2.72
Cu 0.1766 0.3234 0.7534  7 Cu 2.48-2.61, 1 In 2.72
Cu 0.6766 0.1766 0.7534  7 Cu 2.48-2.61, 1 In 2.72
Cu 0.8234 0.6766 0.7534  7 Cu 2.48-2.61, 1 In 2.72
Cu 0.8234 0.6766 0.2466  7 Cu 2.48-2.61, 1 In 2.72

mass density: 8.529 g/cm³
crystal system: tetragonal

---

The records above yield E_form values of 0.19, 0.00, 0.18, 0.07, 0.02, 0.02, 0.14, -0.98, -0.14 eV per atom, respectively.